92
Lattice="12.899 7.448 2.912 -12.899 7.448 2.912 0.000 -14.895 2.912" Properties=species:S:1:pos:R:3 comment="GGA-PBE Hf21Re25, relaxed" magmom_total_mub_per_fu=0.0 sg="No. 167" ef_ev_per_atom=-0.41 e_tot_ev_per_atom=-11.720 pbc="T T T"
Hf -6.685 2.440 2.159
Hf -9.895 2.343 3.302
Hf -11.410 -4.869 5.248
Hf -8.970 -0.641 3.640
Hf -6.214 -5.008 3.615
Hf -1.488 -12.316 3.488
Hf 1.230 -7.010 2.159
Hf -9.921 7.447 3.488
Hf -6.977 -7.398 5.435
Hf -5.923 0.049 3.979
Hf -3.930 -8.089 5.096
Hf 2.919 -9.741 3.302
Hf -3.004 -5.105 4.758
Hf -1.488 -2.579 3.792
Hf -7.444 2.878 5.122
Hf -1.490 2.579 3.792
Hf -5.456 -4.570 6.578
Hf 5.040 -7.447 3.640
Hf -2.978 -0.001 4.945
Hf 2.919 -5.154 3.979
Hf 1.230 -7.886 5.122
Hf -1.229 7.885 3.615
Hf -2.919 5.154 4.758
Hf 2.978 0.001 3.792
Hf -5.040 7.448 5.096
Hf 5.456 4.570 2.159
Hf 1.490 -2.579 4.944
Hf 7.444 -2.878 3.615
Hf 1.488 2.579 4.944
Hf 3.004 5.105 3.979
Hf -2.919 9.741 5.435
Hf 3.930 8.089 3.640
Hf 5.923 -0.049 4.758
Hf 6.976 7.398 3.302
Hf 9.921 -7.447 5.248
Hf -1.229 7.009 6.578
Hf 1.488 12.316 5.248
Hf 6.214 5.008 5.122
Hf 8.970 0.641 5.096
Hf 11.410 4.869 3.488
Hf 9.895 -2.343 5.435
Hf 6.685 -2.440 6.578
Re 0.000 0.000 0.000
Re -3.772 -3.930 2.215
Re -3.848 -1.300 2.168
Re -1.517 -5.231 2.153
Re -0.036 -9.634 2.913
Re -8.325 4.848 2.913
Re -3.848 1.300 2.200
Re -3.772 3.930 2.153
Re -1.583 0.000 2.184
Re 0.798 -3.982 2.200
Re -1.451 -7.448 3.640
Re -8.361 -4.786 5.824
Re 0.792 -1.371 2.184
Re -7.175 -2.467 5.096
Re -4.574 -2.599 4.369
Re 3.050 -2.682 2.168
Re -5.724 4.981 3.640
Re 0.792 1.371 2.184
Re -1.517 5.231 2.215
Re 0.798 3.982 2.168
Re -0.036 -5.261 4.368
Re -4.538 2.662 4.368
Re 5.289 -1.302 2.215
Re 3.050 2.682 2.200
Re 5.289 1.302 2.153
Re 0.000 0.000 4.368
Re -5.289 -1.302 6.584
Re -3.050 -2.682 6.537
Re -5.289 1.302 6.521
Re 4.538 -2.662 4.369
Re 0.036 5.261 4.369
Re -0.798 -3.982 6.568
Re 1.517 -5.231 6.521
Re -0.792 -1.371 6.553
Re 5.724 -4.981 5.096
Re -3.050 2.682 6.568
Re 4.574 2.599 4.368
Re 7.175 2.467 3.640
Re -0.792 1.371 6.553
Re 8.361 4.786 2.913
Re 1.452 7.447 5.096
Re -0.798 3.982 6.537
Re 1.583 0.000 6.553
Re 3.772 -3.930 6.584
Re 3.848 -1.300 6.537
Re 8.325 -4.848 5.824
Re 0.036 9.634 5.824
Re 1.517 5.231 6.584
Re 3.848 1.300 6.568
Re 3.772 3.930 6.521